Record 1
# MgAs4P4O16 (GGA-PBE, optimized geometry)
data_MgAs4P4O16
_cell_length_a 5.081
_cell_length_b 8.404
_cell_length_c 9.003
_cell_angle_alpha 96.57
_cell_angle_beta 90.00
_cell_angle_gamma 90.00
_symmetry_space_group_name_H-M 'P 1'
_symmetry_Int_Tables_number 1
loop_
_symmetry_equiv_pos_as_xyz
'x,y,z'
loop_
_atom_site_label
_atom_site_fract_x
_atom_site_fract_y
_atom_site_fract_z
Mg1 0.250 0.891 0.061
As1 0.250 0.657 0.687
As2 0.750 0.325 0.261
As3 0.750 0.178 0.780
As4 0.250 0.675 0.257
P1 0.250 0.305 0.612
P2 0.750 0.683 0.415
P3 0.750 0.836 0.863
P4 0.250 0.202 0.099
O1 0.250 0.364 0.462
O2 0.750 0.619 0.566
O3 0.750 0.915 0.022
O4 0.250 0.105 0.943
O5 0.250 0.453 0.744
O6 0.750 0.544 0.276
O7 0.750 0.956 0.739
O8 0.250 0.087 0.217
O9 0.004 0.319 0.113
O10 0.493 0.731 0.844
O11 0.994 0.788 0.386
O12 0.496 0.198 0.638
O13 0.007 0.731 0.844
O14 0.496 0.319 0.113
O15 0.004 0.198 0.638
O16 0.506 0.788 0.386
# Polymorph energy (0 for the lowest one): 0 meV/atom
# ΔH_f (0 K): -2.145 eV per atom
# Crystal system: monoclinic
# Magnetization: 0.00 μB/cell

---

Record 2
# Nd9Ga4 (GGA-PBE, optimized geometry)
data_Nd9Ga4
_cell_length_a 8.916
_cell_length_b 8.916
_cell_length_c 8.916
_cell_angle_alpha 94.89
_cell_angle_beta 94.89
_cell_angle_gamma 146.06
_symmetry_space_group_name_H-M 'P 1'
_symmetry_Int_Tables_number 1
loop_
_symmetry_equiv_pos_as_xyz
'x,y,z'
loop_
_atom_site_label
_atom_site_fract_x
_atom_site_fract_y
_atom_site_fract_z
Nd1 0.904 0.374 0.278
Nd2 0.096 0.626 0.722
Nd3 0.374 0.096 0.470
Nd4 0.626 0.904 0.530
Nd5 0.000 0.000 0.000
Nd6 0.611 0.316 0.927
Nd7 0.389 0.684 0.073
Nd8 0.316 0.389 0.705
Nd9 0.684 0.611 0.295
Ga1 0.767 0.113 0.881
Ga2 0.233 0.887 0.119
Ga3 0.113 0.233 0.346
Ga4 0.887 0.767 0.654
# ΔH_f (0 K): -0.366 eV per atom
# Crystal system: tetragonal

---

Record 3
# Lu7Te2Pd2 (GGA-PBE, optimized geometry)
data_Lu7Te2Pd2
_cell_length_a 9.237
_cell_length_b 9.237
_cell_length_c 9.237
_cell_angle_alpha 155.66
_cell_angle_beta 118.06
_cell_angle_gamma 67.58
_symmetry_space_group_name_H-M 'P 1'
_symmetry_Int_Tables_number 1
loop_
_symmetry_equiv_pos_as_xyz
'x,y,z'
loop_
_atom_site_label
_atom_site_fract_x
_atom_site_fract_y
_atom_site_fract_z
Lu1 0.810 0.183 0.627
Lu2 0.444 0.817 0.627
Lu3 0.500 0.500 0.000
Lu4 0.048 0.631 0.417
Lu5 0.786 0.369 0.417
Lu6 0.124 0.856 0.268
Lu7 0.412 0.144 0.268
Te1 0.161 0.500 0.661
Te2 0.767 0.000 0.767
Pd1 0.668 0.736 0.931
Pd2 0.195 0.264 0.931
# ΔH_f (0 K): -0.832 eV per atom
# Crystal system: orthorhombic

---

Record 4
# CsCoCuS2 (GGA-PBE, optimized geometry)
data_CsCoCuS2
_cell_length_a 7.577
_cell_length_b 7.577
_cell_length_c 7.577
_cell_angle_alpha 149.79
_cell_angle_beta 149.79
_cell_angle_gamma 43.25
_symmetry_space_group_name_H-M 'P 1'
_symmetry_Int_Tables_number 1
loop_
_symmetry_equiv_pos_as_xyz
'x,y,z'
loop_
_atom_site_label
_atom_site_fract_x
_atom_site_fract_y
_atom_site_fract_z
Cs1 0.000 0.000 0.000
Co1 0.750 0.250 0.500
Cu1 0.250 0.750 0.500
S1 0.661 0.661 0.000
S2 0.339 0.339 0.000
# ΔH_f (0 K): -0.732 eV per atom
# Crystal system: tetragonal
# Magnetization: 2.96 μB/cell

---

Record 5
# Na4MgTiSi2SO12 (GGA-PBE, optimized geometry)
data_Na4MgTiSi2SO12
_cell_length_a 9.119
_cell_length_b 9.059
_cell_length_c 22.048
_cell_angle_alpha 91.00
_cell_angle_beta 90.00
_cell_angle_gamma 120.22
_symmetry_space_group_name_H-M 'P 1'
_symmetry_Int_Tables_number 1
loop_
_symmetry_equiv_pos_as_xyz
'x,y,z'
loop_
_atom_site_label
_atom_site_fract_x
_atom_site_fract_y
_atom_site_fract_z
Na1 0.644 0.018 0.253
Na2 0.365 0.357 0.246
Na3 0.992 0.622 0.242
Na4 0.630 0.622 0.742
Na5 0.991 0.357 0.746
Na6 0.374 0.018 0.753
Na7 0.311 0.351 0.587
Na8 0.032 0.690 0.579
Na9 0.659 0.956 0.576
Na10 0.297 0.956 0.076
Na11 0.658 0.690 0.079
Na12 0.041 0.351 0.087
Na13 0.977 0.685 0.920
Na14 0.698 0.023 0.913
Na15 0.326 0.289 0.909
Na16 0.963 0.289 0.409
Na17 0.325 0.023 0.413
Na18 0.707 0.685 0.420
Na19 0.985 0.988 0.496
Na20 0.002 0.988 0.996
Na21 0.652 0.321 0.829
Na22 0.669 0.321 0.329
Na23 0.319 0.654 0.163
Na24 0.336 0.654 0.663
Mg1 0.999 0.002 0.351
Mg2 0.003 0.002 0.851
Mg3 0.666 0.336 0.684
Mg4 0.670 0.336 0.184
Mg5 0.333 0.669 0.018
Mg6 0.336 0.669 0.518
Ti1 0.981 0.011 0.647
Ti2 0.029 0.011 0.147
Ti3 0.648 0.344 0.981
Ti4 0.696 0.344 0.481
Ti5 0.315 0.677 0.314
Ti6 0.363 0.677 0.814
Si1 0.299 0.005 0.254
Si2 0.002 0.293 0.253
Si3 0.291 0.293 0.753
Si4 0.706 0.005 0.754
Si5 0.965 0.338 0.587
Si6 0.669 0.626 0.586
Si7 0.958 0.626 0.086
Si8 0.373 0.338 0.087
Si9 0.632 0.672 0.920
Si10 0.335 0.959 0.919
Si11 0.624 0.959 0.419
Si12 0.040 0.672 0.420
S1 0.708 0.710 0.250
S2 0.003 0.710 0.750
S3 0.374 0.044 0.584
S4 0.669 0.044 0.084
S5 0.041 0.377 0.917
S6 0.336 0.377 0.417
O1 0.209 0.029 0.312
O2 0.809 0.790 0.305
O3 0.969 0.179 0.311
O4 0.209 0.179 0.811
O5 0.981 0.790 0.805
O6 0.820 0.029 0.812
O7 0.797 0.970 0.692
O8 0.161 0.190 0.692
O9 0.027 0.815 0.696
O10 0.789 0.815 0.196
O11 0.030 0.190 0.192
O12 0.174 0.970 0.192
O13 0.875 0.362 0.645
O14 0.476 0.123 0.639
O15 0.636 0.512 0.644
O16 0.876 0.512 0.144
O17 0.648 0.123 0.139
O18 0.487 0.362 0.145
O19 0.463 0.304 0.025
O20 0.827 0.524 0.025
O21 0.693 0.148 0.029
O22 0.455 0.148 0.529
O23 0.696 0.524 0.525
O24 0.840 0.304 0.525
O25 0.542 0.696 0.978
O26 0.142 0.457 0.972
O27 0.303 0.845 0.978
O28 0.543 0.845 0.478
O29 0.314 0.457 0.472
O30 0.154 0.696 0.478
O31 0.130 0.637 0.358
O32 0.494 0.857 0.359
O33 0.360 0.482 0.362
O34 0.122 0.482 0.862
O35 0.363 0.857 0.859
O36 0.507 0.637 0.858
O37 0.010 0.831 0.412
O38 0.815 0.990 0.412
O39 0.183 0.203 0.412
O40 0.020 0.203 0.912
O41 0.175 0.990 0.912
O42 0.821 0.831 0.912
O43 0.973 0.156 0.588
O44 0.201 0.025 0.587
O45 0.852 0.815 0.589
O46 0.963 0.815 0.089
O47 0.824 0.025 0.087
O48 0.183 0.156 0.088
O49 0.677 0.165 0.745
O50 0.481 0.324 0.745
O51 0.850 0.537 0.746
O52 0.687 0.537 0.246
O53 0.842 0.324 0.245
O54 0.488 0.165 0.245
O55 0.639 0.489 0.921
O56 0.868 0.359 0.921
O57 0.519 0.148 0.923
O58 0.629 0.148 0.423
O59 0.491 0.359 0.421
O60 0.850 0.489 0.421
O61 0.344 0.498 0.079
O62 0.148 0.657 0.078
O63 0.517 0.870 0.079
O64 0.353 0.870 0.579
O65 0.509 0.657 0.578
O66 0.154 0.498 0.579
O67 0.306 0.822 0.254
O68 0.534 0.692 0.254
O69 0.185 0.482 0.256
O70 0.296 0.482 0.756
O71 0.158 0.692 0.754
O72 0.516 0.822 0.754
# ΔH_f (0 K): -2.709 eV per atom
# Magnetization: 0.00 μB/cell

---

Record 6
# V2GeC (GGA-PBE, optimized geometry)
data_V2GeC
_cell_length_a 3.014
_cell_length_b 3.014
_cell_length_c 12.166
_cell_angle_alpha 90.00
_cell_angle_beta 90.00
_cell_angle_gamma 120.00
_symmetry_space_group_name_H-M 'P 1'
_symmetry_Int_Tables_number 1
loop_
_symmetry_equiv_pos_as_xyz
'x,y,z'
loop_
_atom_site_label
_atom_site_fract_x
_atom_site_fract_y
_atom_site_fract_z
V1 0.667 0.333 0.412
V2 0.333 0.667 0.588
V3 0.333 0.667 0.912
V4 0.667 0.333 0.088
Ge1 0.667 0.333 0.750
Ge2 0.333 0.667 0.250
C1 0.000 0.000 0.500
C2 0.000 0.000 0.000
# ΔH_f (0 K): -0.484 eV per atom
# Crystal system: hexagonal